[1]
This record from the Materials Project describes crystalline W17O47 at its relaxed geometry. The functional is GGA+U.

- volume (Å³ per cell) = 915.6
- ΔE_f (eV/atom) = -2.15
- total moment (Bohr magnetons per cell) = 7.97
- offset from the most stable computed form (meV/atom) = 0
- calculated total energy (eV/cell) = -482.59
- E (MP2020) (eV/atom) = -9.2238

abc: 12.5955 3.8556 19.2816
angles: 90.00 102.09 90.00
Last column: nearest neighbours and their distance in Å.
Element x y z (fractional)
1 W 0.0000 0.0000 0.0000  6 O 1.93-1.94
2 W 0.0027 0.0000 0.1932  5 O 1.86-2.00
3 W 0.0792 0.0000 0.6259  4 O 1.83-1.93
4 W 0.2115 0.0000 0.4652  6 O 1.93-2.06
5 W 0.2573 0.0000 0.7853  7 O 1.93-2.14
6 W 0.2807 0.0000 0.9605  5 O 1.85-2.03
7 W 0.3054 0.0000 0.2879  6 O 1.89-2.02
8 W 0.3893 0.0000 0.6486  5 O 1.85-2.04
9 W 0.4748 0.0000 0.1463  6 O 1.93-2.15
10 W 0.5252 0.0000 0.8537  6 O 1.93-2.15
11 W 0.6107 0.0000 0.3514  5 O 1.85-2.04
12 W 0.6946 0.0000 0.7121  6 O 1.89-2.02
13 W 0.7193 0.0000 0.0395  5 O 1.85-2.03
14 W 0.7427 0.0000 0.2147  7 O 1.93-2.14
15 W 0.7885 0.0000 0.5348  6 O 1.93-2.06
16 W 0.9208 0.0000 0.3741  4 O 1.83-1.93
17 W 0.9973 0.0000 0.8068  5 O 1.86-2.00
18 O 0.0000 0.5000 0.0000  2 W 1.93
19 O 0.0030 0.5000 0.8056  2 W 1.93
20 O 0.0339 0.0000 0.1028  2 W 1.87-1.94
21 O 0.0702 0.0000 0.3930  2 W 1.84-2.02
22 O 0.0842 0.5000 0.6312  2 W 1.93
23 O 0.0897 0.0000 0.7339  3 W 2.00-2.14
24 O 0.1181 0.0000 0.5398  2 W 1.83-2.04
25 O 0.1450 0.0000 0.2447  2 W 1.86-2.02
26 O 0.1540 0.0000 0.9988  2 W 1.89-1.94
27 O 0.1673 0.0000 0.8607  3 W 2.02-2.17
28 O 0.2120 0.5000 0.4671  2 W 1.93
29 O 0.2418 0.0000 0.6760  3 W 2.04-2.07
30 O 0.2572 0.5000 0.7845  2 W 1.93
31 O 0.2794 0.0000 0.3808  2 W 1.89-1.99
32 O 0.2793 0.5000 0.9567  2 W 1.93
33 O 0.3042 0.5000 0.2851  2 W 1.93
34 O 0.3396 0.0000 0.5514  2 W 1.85-2.06
35 O 0.3550 0.0000 0.1985  2 W 1.95-1.98
36 O 0.3707 0.0000 0.8849  3 W 2.03-2.15
37 O 0.3831 0.0000 0.0445  2 W 1.85-2.06
38 O 0.3856 0.5000 0.6529  2 W 1.93
39 O 0.4090 0.0000 0.7615  3 W 2.05-2.14
40 O 0.4610 0.0000 0.3374  2 W 1.85-1.99
41 O 0.4786 0.5000 0.1430  2 W 1.93
42 O 0.5214 0.5000 0.8570  2 W 1.93
43 O 0.5390 0.0000 0.6626  2 W 1.85-1.99
44 O 0.5910 0.0000 0.2384  3 W 2.05-2.14
45 O 0.6144 0.5000 0.3471  2 W 1.93
46 O 0.6169 0.0000 0.9555  2 W 1.85-2.06
47 O 0.6293 0.0000 0.1151  3 W 2.03-2.15
48 O 0.6450 0.0000 0.8015  2 W 1.95-1.98
49 O 0.6604 0.0000 0.4486  2 W 1.85-2.06
50 O 0.6958 0.5000 0.7149  2 W 1.93
51 O 0.7206 0.0000 0.6192  2 W 1.89-1.99
52 O 0.7207 0.5000 0.0433  2 W 1.93
53 O 0.7428 0.5000 0.2155  2 W 1.93
54 O 0.7582 0.0000 0.3240  3 W 2.04-2.07
55 O 0.7880 0.5000 0.5329  2 W 1.93
56 O 0.8327 0.0000 0.1393  3 W 2.02-2.17
57 O 0.8460 0.0000 0.0012  2 W 1.89-1.94
58 O 0.8550 0.0000 0.7553  2 W 1.86-2.02
59 O 0.8819 0.0000 0.4602  2 W 1.83-2.04
60 O 0.9103 0.0000 0.2661  3 W 2.00-2.14
61 O 0.9158 0.5000 0.3688  2 W 1.93
62 O 0.9298 0.0000 0.6070  2 W 1.84-2.02
63 O 0.9661 0.0000 0.8972  2 W 1.87-1.94
64 O 0.9970 0.5000 0.1944  2 W 1.93

=====

[2]
This record from the Materials Project describes crystalline WO3 at its relaxed geometry. The functional is GGA+U.

- volume (Å³ per cell) = 220.9
- ΔE_f (eV/atom) = -2.18
- calculated total energy (eV/cell) = -120.09
- E (MP2020) (eV/atom) = -9.1305

abc: 5.4183 7.6189 5.3507
angles: 90.00 90.00 90.00
Last column: nearest neighbours and their distance in Å.
Element x y z (fractional)
1 W 0.0000 0.0000 0.0000  6 O 1.93-1.94
2 W 0.0000 0.5000 0.0000  6 O 1.93-1.94
3 W 0.5000 0.0000 0.5000  6 O 1.93-1.94
4 W 0.5000 0.5000 0.5000  6 O 1.93-1.94
5 O 0.0072 0.2500 0.0633  2 W 1.93
6 O 0.2194 0.0315 0.7193  2 W 1.93-1.94
7 O 0.2194 0.4685 0.7193  2 W 1.93-1.94
8 O 0.2806 0.5315 0.2193  2 W 1.93-1.94
9 O 0.2806 0.9685 0.2193  2 W 1.93-1.94
10 O 0.4928 0.7500 0.5633  2 W 1.93
11 O 0.5072 0.2500 0.4367  2 W 1.93
12 O 0.7194 0.0315 0.7807  2 W 1.93-1.94
13 O 0.7194 0.4685 0.7807  2 W 1.93-1.94
14 O 0.7806 0.5315 0.2807  2 W 1.93-1.94
15 O 0.7806 0.9685 0.2807  2 W 1.93-1.94
16 O 0.9928 0.7500 0.9367  2 W 1.93

=====

[3]
This record from the Materials Project describes crystalline WO3 at its relaxed geometry. The functional is GGA+U.

- volume (Å³ per cell) = 115.2
- ΔE_f (eV/atom) = -2.18
- total moment (Bohr magnetons per cell) = 0.00
- calculated total energy (eV/cell) = -60.07
- E (MP2020) (eV/atom) = -9.1335

abc: 7.7203 3.8597 3.8668
angles: 90.00 90.00 90.00
Last column: nearest neighbours and their distance in Å.
Element x y z (fractional)
1 W 0.2500 0.0000 0.0108  6 O 1.88-1.99
2 W 0.7500 0.0000 0.9892  6 O 1.88-1.99
3 O 0.0000 0.0000 0.0000  2 W 1.93
4 O 0.2500 0.0000 0.4966  2 W 1.88-1.99
5 O 0.2500 0.5000 0.9897  2 W 1.93
6 O 0.5000 0.0000 0.0000  2 W 1.93
7 O 0.7500 0.0000 0.5034  2 W 1.88-1.99
8 O 0.7500 0.5000 0.0103  2 W 1.93

=====

[4]
This record from the Materials Project describes crystalline WO3 at its relaxed geometry. The functional is GGA+U.

- volume (Å³ per cell) = 220.9
- ΔE_f (eV/atom) = -2.18
- calculated total energy (eV/cell) = -120.10
- E (MP2020) (eV/atom) = -9.1307

abc: 6.5957 6.5957 6.5957
angles: 109.47 109.47 109.47
Last column: nearest neighbours and their distance in Å.
Element x y z (fractional)
1 W 0.0000 0.0000 0.5000  6 O 1.93
2 W 0.0000 0.5000 0.0000  6 O 1.93
3 W 0.5000 0.0000 0.0000  6 O 1.93
4 W 0.5000 0.5000 0.5000  6 O 1.93
5 O 0.0596 0.2781 0.7814  2 W 1.93
6 O 0.2186 0.4967 0.2781  2 W 1.93
7 O 0.2186 0.9404 0.7219  2 W 1.93
8 O 0.2781 0.2186 0.4967  2 W 1.93
9 O 0.2781 0.7814 0.0596  2 W 1.93
10 O 0.4967 0.2781 0.2186  2 W 1.93
11 O 0.5033 0.7219 0.7814  2 W 1.93
12 O 0.7219 0.2186 0.9404  2 W 1.93
13 O 0.7219 0.7814 0.5033  2 W 1.93
14 O 0.7814 0.0596 0.2781  2 W 1.93
15 O 0.7814 0.5033 0.7219  2 W 1.93
16 O 0.9404 0.7219 0.2186  2 W 1.93

=====

[5]
This record from the Materials Project describes crystalline WO3 at its relaxed geometry. The functional is GGA+U.

- volume (Å³ per cell) = 57.6
- ΔE_f (eV/atom) = -2.18
- calculated total energy (eV/cell) = -30.04
- E (MP2020) (eV/atom) = -9.1337

abc: 3.8627 3.8627 3.8627
angles: 90.00 90.00 90.00
Last column: nearest neighbours and their distance in Å.
Element x y z (fractional)
1 W 0.0000 0.0000 0.0000  6 O 1.93
2 O 0.0000 0.0000 0.5000  2 W 1.93
3 O 0.0000 0.5000 0.0000  2 W 1.93
4 O 0.5000 0.0000 0.0000  2 W 1.93

=====

[6]
This record from the Materials Project describes crystalline WO5 at its relaxed geometry. The functional is GGA+U.

- volume (Å³ per cell) = 489.1
- ΔE_f (eV/atom) = -1.03
- total moment (Bohr magnetons per cell) = 8.00
- offset from the most stable computed form (meV/atom) = 0
- calculated total energy (eV/cell) = -154.45
- E (MP2020) (eV/atom) = -7.3092

abc: 10.5073 3.8610 12.2502
angles: 90.00 100.20 90.00
Last column: nearest neighbours and their distance in Å.
Element x y z (fractional)
1 W 0.1353 0.0000 0.0369  2 O 1.73-1.74
2 W 0.1358 0.4475 0.5355  2 O 1.73-1.74
3 W 0.8642 0.9475 0.4645  2 O 1.73-1.74
4 W 0.8647 0.5000 0.9631  2 O 1.73-1.74
5 O 0.0729 0.5001 0.0209  3 W 2.04-2.18
6 O 0.0737 0.9474 0.5193  3 W 2.04-2.18
7 O 0.2152 0.4489 0.6724  1 W 1.74
8 O 0.2149 0.9966 0.1738  1 W 1.74
9 O 0.2500 0.9983 0.9513  1 W 1.73
10 O 0.2508 0.4494 0.4501  1 W 1.73
11 O 0.4558 0.5256 0.8680  1 O 1.23
12 O 0.4869 0.3049 0.1297  1 O 1.23
13 O 0.4880 0.2278 0.6287  1 O 1.23
14 O 0.4894 0.0397 0.3769  1 O 1.23
15 O 0.5106 0.5397 0.6231  1 O 1.23
16 O 0.5120 0.7278 0.3713  1 O 1.23
17 O 0.5131 0.8049 0.8703  1 O 1.23
18 O 0.5442 0.0256 0.1320  1 O 1.23
19 O 0.7492 0.9494 0.5499  1 W 1.73
20 O 0.7500 0.4983 0.0487  1 W 1.73
21 O 0.7851 0.4966 0.8262  1 W 1.74
22 O 0.7848 0.9489 0.3276  1 W 1.74
23 O 0.9263 0.4474 0.4807  3 W 2.04-2.18
24 O 0.9271 0.0001 0.9791  3 W 2.04-2.18

=====

Look up the volume of the second one. 220.9 Å³ per cell